The following is a DFT calculation (PBE with a Hubbard U) of a relaxed structure of Co6O7F5. Values from VASP.

```
&SYSTEM
  ibrav = 0, nat = 18, ntyp = 3
/
ATOMIC_SPECIES
Co 58.93 Co.upf
O 16.00 O.upf
F 19.00 F.upf
CELL_PARAMETERS angstrom
3.241 -3.061 0.000
3.241 3.061 0.000
-0.027 0.000 8.955
ATOMIC_POSITIONS angstrom
Co 0.000 0.000 0.000
Co 3.200 2.897 2.901
Co 3.255 2.897 6.054
Co 3.068 -0.176 7.422
Co 3.227 -0.163 4.477
Co 3.386 -0.176 1.533
O 1.169 -0.142 7.502
O 3.142 1.020 5.974
O 3.313 1.020 2.981
O 3.130 -1.351 5.987
O 3.241 -1.300 0.000
O 3.324 -1.351 2.968
O 5.286 -0.142 1.453
F 1.239 -0.167 4.407
F 1.468 -0.157 1.480
F 3.241 1.095 0.000
F 4.986 -0.157 7.475
F 5.216 -0.167 4.548
```

**ρ**: 5.24 g cm⁻³
**Crystal system**: monoclinic
**SG**: C2
**E_form**: -1.4657 eV per atom

---

The following is a DFT calculation (PBE with a Hubbard U) of a relaxed structure of Co3OF5. Values from VASP.

```
&SYSTEM
  ibrav = 0, nat = 18, ntyp = 3
/
ATOMIC_SPECIES
Co 58.93 Co.upf
O 16.00 O.upf
F 19.00 F.upf
CELL_PARAMETERS angstrom
3.363 -9.726 0.000
3.363 9.726 0.000
0.000 0.000 3.124
ATOMIC_POSITIONS angstrom
Co 0.000 0.000 0.000
Co 3.363 6.758 1.562
Co 3.363 3.336 0.000
Co 3.363 0.000 1.562
Co 3.363 -3.336 0.000
Co 3.363 -6.758 1.562
O 3.363 7.912 0.000
O 3.363 -7.912 0.000
F 2.033 3.272 1.562
F 1.304 0.000 1.562
F 3.363 5.373 0.000
F 3.363 1.305 0.000
F 2.033 -3.272 1.562
F 4.693 3.272 1.562
F 3.363 -1.305 0.000
F 3.363 -5.373 0.000
F 5.422 0.000 1.562
F 4.693 -3.272 1.562
```

**ρ**: 4.68 g cm⁻³
**Crystal system**: orthorhombic
**SG**: Cmmm
**E_form**: -2.0862 eV per atom

---

The following is a DFT calculation (PBE with a Hubbard U) of a relaxed structure of Co2O3F. Values from VASP.

```
&SYSTEM
  ibrav = 0, nat = 18, ntyp = 3
/
ATOMIC_SPECIES
Co 58.93 Co.upf
O 16.00 O.upf
F 19.00 F.upf
CELL_PARAMETERS angstrom
8.716 0.000 0.000
0.000 3.079 3.370
0.000 -3.079 3.370
ATOMIC_POSITIONS angstrom
Co 0.000 0.000 0.000
Co 1.442 0.000 3.620
Co 2.882 0.000 0.470
Co 4.358 0.000 3.556
Co 5.834 0.000 0.470
Co 7.274 0.000 3.620
O 0.000 0.000 4.816
O 1.448 -1.900 3.602
O 1.448 1.900 3.602
O 2.864 0.000 2.397
O 4.358 -1.905 3.717
O 4.358 1.905 3.717
O 5.852 0.000 2.397
O 7.268 -1.900 3.602
O 7.268 1.900 3.602
F 0.000 0.000 2.243
F 2.899 0.000 4.989
F 5.817 0.000 4.989
```

**ρ**: 5.09 g cm⁻³
**Crystal system**: orthorhombic
**SG**: Amm2
**E_form**: -1.2835 eV per atom

---

The following is a DFT calculation (PBE with a Hubbard U) of a relaxed structure of Co4OF11. Values from VASP.

```
&SYSTEM
  ibrav = 0, nat = 16, ntyp = 3
/
ATOMIC_SPECIES
Co 58.93 Co.upf
O 16.00 O.upf
F 19.00 F.upf
CELL_PARAMETERS angstrom
5.067 0.000 0.000
-0.006 5.350 0.000
-0.112 -0.477 7.248
ATOMIC_POSITIONS angstrom
Co 0.000 0.000 0.000
Co -0.045 -0.234 3.626
Co 2.500 2.667 0.098
Co 2.472 2.442 3.582
O 2.047 2.571 1.883
F 0.601 5.232 1.785
F 0.885 3.217 6.818
F 0.952 1.408 4.038
F 1.466 4.103 4.046
F 1.474 0.563 6.822
F 3.001 2.327 5.373
F 3.498 4.319 0.455
F 3.518 0.772 3.179
F 4.032 3.478 3.207
F 4.108 1.670 0.411
F 4.401 -0.350 5.463
```

**ρ**: 3.89 g cm⁻³
**Crystal system**: triclinic
**SG**: P1
**E_form**: -1.9568 eV per atom

---

The following is a DFT calculation (PBE with a Hubbard U) of a relaxed structure of Co3OF5. Values from VASP.

```
&SYSTEM
  ibrav = 0, nat = 18, ntyp = 3
/
ATOMIC_SPECIES
Co 58.93 Co.upf
O 16.00 O.upf
F 19.00 F.upf
CELL_PARAMETERS angstrom
3.150 0.000 0.000
0.000 4.698 0.000
0.000 0.000 14.151
ATOMIC_POSITIONS angstrom
Co 0.000 1.039 0.000
Co 0.000 1.078 4.884
Co 0.000 1.288 9.520
Co 1.575 3.410 2.445
Co 1.575 3.620 11.960
Co 1.575 3.658 7.075
O 0.000 4.475 6.198
O 1.575 0.223 13.273
F 0.000 2.497 3.435
F 0.000 2.620 12.772
F 0.000 2.701 8.040
F 0.000 4.372 1.557
F 0.000 4.481 10.939
F 1.575 0.217 3.864
F 1.575 0.326 8.632
F 1.575 1.996 0.964
F 1.575 2.078 5.696
F 1.575 2.200 10.511
```

**ρ**: 4.56 g cm⁻³
**Crystal system**: orthorhombic
**SG**: Pmn2_1
**E_form**: -2.0648 eV per atom

---

The following is a DFT calculation (PBE with a Hubbard U) of a relaxed structure of Co2O3F. Values from VASP.

```
&SYSTEM
  ibrav = 0, nat = 24, ntyp = 3
/
ATOMIC_SPECIES
Co 58.93 Co.upf
O 16.00 O.upf
F 19.00 F.upf
CELL_PARAMETERS angstrom
8.746 -2.965 0.000
8.746 2.965 0.000
-0.205 0.000 4.372
ATOMIC_POSITIONS angstrom
Co 4.373 1.483 0.000
Co 1.975 0.000 2.285
Co 8.746 1.518 0.000
Co 6.333 0.000 2.305
Co 4.373 -1.483 0.000
Co 10.954 0.000 2.067
Co 8.746 -1.518 0.000
Co 15.312 0.000 2.087
O 0.676 0.000 3.522
O 5.652 1.475 1.337
O 7.288 1.476 3.030
O 5.047 0.000 3.530
O 9.999 1.476 1.342
O 11.635 1.475 3.035
O 5.652 -1.475 1.337
O 7.288 -1.476 3.030
O 12.240 0.000 0.842
O 9.999 -1.476 1.342
O 11.635 -1.475 3.035
O 16.612 0.000 0.851
F 3.365 0.000 0.945
F 7.800 0.000 0.876
F 9.487 0.000 3.496
F 13.922 0.000 3.427
```

**ρ**: 5.41 g cm⁻³
**Crystal system**: monoclinic
**SG**: C2/m
**E_form**: -1.2976 eV per atom

---

Question: Among the records above, which one has the lowest ρ?
Answer: Co4OF11

---

Question: Look up the ρ of the sixth one.
Answer: 5.41 g cm⁻³

---

Please write out number 5 again, unchanged.
The following is a DFT calculation (PBE with a Hubbard U) of a relaxed structure of Co3OF5. Values from VASP.

```
&SYSTEM
  ibrav = 0, nat = 18, ntyp = 3
/
ATOMIC_SPECIES
Co 58.93 Co.upf
O 16.00 O.upf
F 19.00 F.upf
CELL_PARAMETERS angstrom
3.150 0.000 0.000
0.000 4.698 0.000
0.000 0.000 14.151
ATOMIC_POSITIONS angstrom
Co 0.000 1.039 0.000
Co 0.000 1.078 4.884
Co 0.000 1.288 9.520
Co 1.575 3.410 2.445
Co 1.575 3.620 11.960
Co 1.575 3.658 7.075
O 0.000 4.475 6.198
O 1.575 0.223 13.273
F 0.000 2.497 3.435
F 0.000 2.620 12.772
F 0.000 2.701 8.040
F 0.000 4.372 1.557
F 0.000 4.481 10.939
F 1.575 0.217 3.864
F 1.575 0.326 8.632
F 1.575 1.996 0.964
F 1.575 2.078 5.696
F 1.575 2.200 10.511
```

**ρ**: 4.56 g cm⁻³
**Crystal system**: orthorhombic
**SG**: Pmn2_1
**E_form**: -2.0648 eV per atom

---

Copy entry 6 word for word.
The following is a DFT calculation (PBE with a Hubbard U) of a relaxed structure of Co2O3F. Values from VASP.

```
&SYSTEM
  ibrav = 0, nat = 24, ntyp = 3
/
ATOMIC_SPECIES
Co 58.93 Co.upf
O 16.00 O.upf
F 19.00 F.upf
CELL_PARAMETERS angstrom
8.746 -2.965 0.000
8.746 2.965 0.000
-0.205 0.000 4.372
ATOMIC_POSITIONS angstrom
Co 4.373 1.483 0.000
Co 1.975 0.000 2.285
Co 8.746 1.518 0.000
Co 6.333 0.000 2.305
Co 4.373 -1.483 0.000
Co 10.954 0.000 2.067
Co 8.746 -1.518 0.000
Co 15.312 0.000 2.087
O 0.676 0.000 3.522
O 5.652 1.475 1.337
O 7.288 1.476 3.030
O 5.047 0.000 3.530
O 9.999 1.476 1.342
O 11.635 1.475 3.035
O 5.652 -1.475 1.337
O 7.288 -1.476 3.030
O 12.240 0.000 0.842
O 9.999 -1.476 1.342
O 11.635 -1.475 3.035
O 16.612 0.000 0.851
F 3.365 0.000 0.945
F 7.800 0.000 0.876
F 9.487 0.000 3.496
F 13.922 0.000 3.427
```

**ρ**: 5.41 g cm⁻³
**Crystal system**: monoclinic
**SG**: C2/m
**E_form**: -1.2976 eV per atom